No. 1
! MgMn4O8 | Materials Project | PBE+U | relaxed; values from VASP
&SYSTEM
  ibrav = 0, nat = 13, ntyp = 3
/
ATOMIC_SPECIES
O 16.00 O.upf
Mn 54.94 Mn.upf
Mg 24.30 Mg.upf
CELL_PARAMETERS angstrom
-0.7958 1.2954 7.5301
3.7060 -3.1369 3.1458
3.6435 4.2432 5.2776
ATOMIC_POSITIONS crystal
O 0.6995 0.3275 0.7007
O 0.2488 0.7068 0.2470
O 0.7724 0.7007 0.3275
O 0.7068 0.2488 0.2975
O 0.3275 0.6995 0.7724
O 0.2975 0.2470 0.7068
O 0.2470 0.2975 0.2488
O 0.7007 0.7724 0.6995
Mn 0.9578 0.5483 0.4460
Mn 0.5483 0.9578 0.5479
Mn 0.4460 0.5479 0.9578
Mn 0.5479 0.4460 0.5483
Mg 0.3750 0.3750 0.3750
! Magnetization in μB/f.u.: 14.00
! DFT total energy in eV per cell: -86.35
! Space-group type: No. 22
! Corrected total energy (MP2020 scheme) in eV/atom: -7.578
! Excess energy over the best structure of this formula in the dataset in meV/atom: 479


No. 2
! Ca2Al2FeSi4BO16 | Materials Project | PBE+U | relaxed; values from VASP
&SYSTEM
  ibrav = 0, nat = 52, ntyp = 6
/
ATOMIC_SPECIES
Si 28.09 Si.upf
Ca 40.08 Ca.upf
O 16.00 O.upf
B 10.81 B.upf
Al 26.98 Al.upf
Fe 55.84 Fe.upf
CELL_PARAMETERS angstrom
-6.7594 -1.4514 2.2333
-1.7795 7.3401 -4.9290
0.5658 -4.7804 -7.8315
ATOMIC_POSITIONS crystal
Si 0.3001 0.9883 0.2611
Si 0.6462 0.2345 0.9813
Si 0.2178 0.5226 0.7284
Si 0.2102 0.2316 0.5487
Si 0.3538 0.7655 0.0187
Si 0.6999 0.0117 0.7389
Si 0.7898 0.7684 0.4513
Si 0.7822 0.4774 0.2716
Ca 0.1783 0.0969 0.9067
Ca 0.2456 0.6044 0.3334
Ca 0.7544 0.3956 0.6666
Ca 0.8217 0.9031 0.0933
O 0.9581 0.8111 0.6008
O 0.5797 0.6959 0.4849
O 0.3816 0.4985 0.8722
O 0.1417 0.3636 0.6344
O 0.1039 0.3094 0.0027
O 0.4734 0.1226 0.3409
O 0.8961 0.6906 0.9973
O 0.3214 0.6493 0.6178
O 0.2323 0.0832 0.6533
O 0.0419 0.1889 0.3992
O 0.3870 0.9031 0.1432
O 0.6786 0.3507 0.3822
O 0.0192 0.5677 0.7492
O 0.8796 0.9394 0.8350
O 0.2362 0.8703 0.3881
O 0.7677 0.9168 0.3467
O 0.6692 0.6445 0.7408
O 0.7918 0.1750 0.1304
O 0.6184 0.5015 0.1278
O 0.4421 0.2385 0.0215
O 0.7638 0.1297 0.6119
O 0.6130 0.0969 0.8568
O 0.2883 0.6112 0.1019
O 0.1204 0.0606 0.1650
O 0.2082 0.8250 0.8696
O 0.4203 0.3041 0.5151
O 0.9808 0.4323 0.2508
O 0.5579 0.7615 0.9785
O 0.3308 0.3555 0.2592
O 0.5266 0.8774 0.6591
O 0.8583 0.6364 0.3656
O 0.7117 0.3888 0.8981
B 0.5363 0.7120 0.6336
B 0.4637 0.2880 0.3664
Al 0.3409 0.4145 0.0576
Al 0.0505 0.2590 0.1814
Al 0.9495 0.7410 0.8186
Al 0.6591 0.5855 0.9424
Fe 0.2326 0.8783 0.6012
Fe 0.7674 0.1217 0.3988
! Magnetization in μB/f.u.: 5.00
! DFT total energy in eV per cell: -391.43
! Space-group type: No. 2
! Corrected total energy (MP2020 scheme) in eV/atom: -8.037


No. 3
! Sr3TaCoO7 | Materials Project | PBE+U | relaxed; values from VASP
&SYSTEM
  ibrav = 0, nat = 24, ntyp = 4
/
ATOMIC_SPECIES
O 16.00 O.upf
Sr 87.62 Sr.upf
Ta 180.95 Ta.upf
Co 58.93 Co.upf
CELL_PARAMETERS angstrom
-2.8453 2.6180 0.9353
-2.8001 -3.6561 10.1692
5.1289 4.0098 4.3658
ATOMIC_POSITIONS crystal
O 0.3962 0.2075 0.4482
O 0.8046 0.3912 0.9022
O 0.1986 0.6027 0.0989
O 0.0973 0.8049 0.7986
O 0.0978 0.8049 0.2986
O 0.8953 0.2093 0.1977
O 0.8953 0.2093 0.6977
O 0.9899 0.0200 0.9949
O 0.9899 0.0200 0.4949
O 0.1986 0.6028 0.5989
O 0.5968 0.8063 0.0483
O 0.3962 0.2075 0.9482
O 0.5968 0.8063 0.5483
O 0.8046 0.3912 0.4022
Sr 0.5204 0.9595 0.2602
Sr 0.3079 0.3841 0.1540
Sr 0.6836 0.6333 0.3417
Sr 0.3079 0.3841 0.6540
Sr 0.6832 0.6333 0.8417
Sr 0.5201 0.9595 0.7603
Ta 0.9015 0.1970 0.9508
Ta 0.9015 0.1970 0.4508
Co 0.1080 0.7840 0.0543
Co 0.1080 0.7840 0.5543
! Magnetization in μB/f.u.: 0.00
! DFT total energy in eV per cell: -174.56
! Corrected total energy (MP2020 scheme) in eV/atom: -7.811
! Excess energy over the best structure of this formula in the dataset in meV/atom: 12


No. 4
! Li9Mn2Co5O16 | Materials Project | PBE+U | relaxed; values from VASP
&SYSTEM
  ibrav = 0, nat = 32, ntyp = 4
/
ATOMIC_SPECIES
Li 6.94 Li.upf
O 16.00 O.upf
Mn 54.94 Mn.upf
Co 58.93 Co.upf
CELL_PARAMETERS angstrom
-0.3637 -5.3727 2.0470
4.5098 -1.1816 -2.2999
5.9379 2.3857 7.3166
ATOMIC_POSITIONS crystal
Li 0.5000 0.4922 0.9959
Li 0.0000 0.4976 0.9914
Li 0.0000 0.2527 0.7470
Li 0.2483 0.7605 0.7360
Li 0.7517 0.7605 0.7360
Li 0.7551 0.2476 0.2611
Li 0.5000 0.9946 0.5090
Li 0.2449 0.2476 0.2611
Li 0.0000 0.0055 0.5059
O 0.5000 0.6220 0.6212
O 0.0000 0.6231 0.6139
O 0.5000 0.1100 0.1154
O 0.0000 0.3766 0.3800
O 0.5000 0.4008 0.3757
O 0.2675 0.1482 0.6283
O 0.0000 0.1319 0.1035
O 0.7356 0.3271 0.8787
O 0.7325 0.1482 0.6283
O 0.7586 0.8612 0.3636
O 0.7585 0.6660 0.1269
O 0.2414 0.8612 0.3636
O 0.2415 0.6660 0.1269
O 0.5000 0.8650 0.8957
O 0.2644 0.3271 0.8787
O 0.0000 0.8758 0.8903
Mn 0.2491 0.0032 0.9969
Mn 0.7509 0.0032 0.9969
Co 0.5000 0.2444 0.7498
Co 0.2460 0.4894 0.5072
Co 0.5000 0.7514 0.2572
Co 0.0000 0.7498 0.2509
Co 0.7540 0.4894 0.5072
! Magnetization in μB/f.u.: 8.00
! DFT total energy in eV per cell: -186.11
! Space-group type: No. 6
! Corrected total energy (MP2020 scheme) in eV/atom: -6.519
! Excess energy over the best structure of this formula in the dataset in meV/atom: 39


No. 5
! FeOF | Materials Project | PBE+U | relaxed; values from VASP
&SYSTEM
  ibrav = 0, nat = 36, ntyp = 3
/
ATOMIC_SPECIES
Fe 55.84 Fe.upf
O 16.00 O.upf
F 19.00 F.upf
CELL_PARAMETERS angstrom
3.0947 0.0000 0.0000
0.0000 9.4801 0.0000
0.0000 0.0770 14.1993
ATOMIC_POSITIONS crystal
Fe 0.0000 0.9969 0.3245
Fe 0.5000 0.2460 0.1813
Fe 0.0000 0.4876 0.3280
Fe 0.5000 0.2149 0.8309
Fe 0.5000 0.2753 0.4964
Fe 0.5000 0.7816 0.1645
Fe 0.5000 0.7505 0.5170
Fe 0.0000 0.5039 0.9955
Fe 0.0000 0.4947 0.6555
Fe 0.0000 0.9992 0.6633
Fe 0.0000 0.9925 0.9915
Fe 0.5000 0.7468 0.8472
O 0.5000 0.4110 0.2616
O 0.0000 0.8517 0.0987
O 0.5000 0.9013 0.9322
O 0.5000 0.9021 0.2727
O 0.0000 0.6505 0.5662
O 0.0000 0.6442 0.9029
O 0.5000 0.0929 0.7275
O 0.0000 0.1545 0.2334
O 0.5000 0.9052 0.6016
O 0.0000 0.1525 0.9018
O 0.0000 0.3534 0.4323
O 0.5000 0.3969 0.6064
F 0.0000 0.8351 0.7698
F 0.5000 0.0965 0.4019
F 0.5000 0.1052 0.0668
F 0.5000 0.5965 0.7360
F 0.0000 0.6571 0.2283
F 0.0000 0.3503 0.7738
F 0.5000 0.6060 0.3936
F 0.0000 0.1555 0.5579
F 0.0000 0.8504 0.4359
F 0.5000 0.5901 0.0689
F 0.0000 0.3505 0.0958
F 0.5000 0.4006 0.9381
! Magnetization in μB/f.u.: 5.00
! DFT total energy in eV per cell: -216.36
! Space-group type: No. 6
! Corrected total energy (MP2020 scheme) in eV/atom: -7.145


No. 6
! Li9Mn2Co5O16 | Materials Project | PBE+U | relaxed; values from VASP
&SYSTEM
  ibrav = 0, nat = 32, ntyp = 4
/
ATOMIC_SPECIES
Mn 54.94 Mn.upf
O 16.00 O.upf
Li 6.94 Li.upf
Co 58.93 Co.upf
CELL_PARAMETERS angstrom
-0.1994 -3.7742 -3.3268
5.2288 -1.7305 2.0788
-5.9946 -4.4633 6.2878
ATOMIC_POSITIONS crystal
Mn 0.7505 0.6282 0.0000
Mn 0.2495 0.3718 0.0000
O 0.3340 0.4640 0.3924
O 0.6660 0.5360 0.6076
O 0.6542 0.0305 0.6083
O 0.0463 0.1067 0.8811
O 0.9471 0.3852 0.1197
O 0.4439 0.6405 0.1175
O 0.1969 0.7659 0.6084
O 0.4504 0.1326 0.1158
O 0.5496 0.8674 0.8842
O 0.8031 0.2341 0.3916
O 0.3458 0.9695 0.3917
O 0.7930 0.7170 0.3883
O 0.2070 0.2830 0.6117
O 0.9537 0.8933 0.1189
O 0.5561 0.3595 0.8825
O 0.0529 0.6148 0.8803
Li 0.3692 0.5658 0.7453
Li 0.8759 0.3025 0.7438
Li 0.3629 0.0638 0.7432
Li 0.0000 0.0000 0.5000
Li 0.8762 0.8178 0.7469
Li 0.1241 0.6975 0.2562
Li 0.6371 0.9362 0.2568
Li 0.1238 0.1822 0.2531
Li 0.6308 0.4342 0.2547
Co 0.0000 0.5000 0.5000
Co 0.7494 0.1238 0.0006
Co 0.4937 0.2455 0.5013
Co 0.5063 0.7545 0.4987
Co 0.2506 0.8762 0.9994
! Magnetization in μB/f.u.: 14.00
! DFT total energy in eV per cell: -184.73
! Space-group type: No. 2
! Corrected total energy (MP2020 scheme) in eV/atom: -6.477
! Excess energy over the best structure of this formula in the dataset in meV/atom: 82


No. 7
! LiVFeO4 | Materials Project | PBE+U | relaxed; values from VASP
&SYSTEM
  ibrav = 0, nat = 14, ntyp = 4
/
ATOMIC_SPECIES
Li 6.94 Li.upf
O 16.00 O.upf
Fe 55.84 Fe.upf
V 50.94 V.upf
CELL_PARAMETERS angstrom
1.9218 -2.6576 4.9886
-3.9808 -2.3739 3.7567
-2.9947 -4.9254 -1.5373
ATOMIC_POSITIONS crystal
Li 0.5000 0.5000 0.5000
Li 0.5000 0.0000 0.0000
O 0.7713 0.4847 0.2560
O 0.2471 0.0041 0.7421
O 0.7529 0.9959 0.2579
O 0.2390 0.0157 0.2547
O 0.2473 0.4952 0.2508
O 0.7610 0.9843 0.7453
O 0.2287 0.5153 0.7440
O 0.7527 0.5048 0.7492
Fe 0.0000 0.0000 0.9999
Fe 0.5001 0.4999 0.0000
V 0.1249 0.2500 0.3749
V 0.8751 0.7500 0.6251
! Magnetization in μB/f.u.: 0.00
! DFT total energy in eV per cell: -95.97
! Space-group type: No. 12
! Corrected total energy (MP2020 scheme) in eV/atom: -7.813
! Excess energy over the best structure of this formula in the dataset in meV/atom: 6


No. 8
! Ba2MgMnMoO6 | Materials Project | PBE+U | relaxed; values from VASP
&SYSTEM
  ibrav = 0, nat = 11, ntyp = 5
/
ATOMIC_SPECIES
O 16.00 O.upf
Mn 54.94 Mn.upf
Ba 137.33 Ba.upf
Mg 24.30 Mg.upf
Mo 95.94 Mo.upf
CELL_PARAMETERS angstrom
5.2721 -0.0932 3.0939
1.7325 5.5300 2.9950
0.0367 -0.0997 6.1238
ATOMIC_POSITIONS crystal
O 0.7513 0.2218 0.2932
O 0.2940 0.2212 0.7490
O 0.7402 0.7006 0.2743
O 0.7476 0.2202 0.7429
O 0.2733 0.6998 0.7412
O 0.2757 0.7030 0.2779
Mn 0.9151 0.2523 0.9161
Ba 0.2976 0.0970 0.3012
Ba 0.7217 0.8361 0.7210
Mg 0.0970 0.7114 0.0970
Mo 0.5115 0.4677 0.5113
! Magnetization in μB/f.u.: 7.00
! DFT total energy in eV per cell: -72.29
! Space-group type: No. 1
! Corrected total energy (MP2020 scheme) in eV/atom: -7.390
! Excess energy over the best structure of this formula in the dataset in meV/atom: 5


No. 9
! FeOF | Materials Project | PBE+U | relaxed; values from VASP
&SYSTEM
  ibrav = 0, nat = 24, ntyp = 3
/
ATOMIC_SPECIES
F 19.00 F.upf
Fe 55.84 Fe.upf
O 16.00 O.upf
CELL_PARAMETERS angstrom
-0.0001 0.0000 6.1331
4.7550 4.7551 -3.0666
-4.7552 4.7553 3.0666
ATOMIC_POSITIONS crystal
F 0.8439 0.0013 0.8063
F 0.8426 0.1937 0.5013
F 0.6574 0.8063 0.4987
F 0.1501 0.3062 0.9987
F 0.8511 0.5013 0.3062
F 0.3499 0.6937 0.0013
F 0.6489 0.4987 0.6938
F 0.6561 0.9987 0.1937
Fe 0.5018 0.4982 0.0273
Fe 0.0309 0.0018 0.4727
Fe 0.4964 0.0272 0.0017
Fe 0.0036 0.9727 0.9983
Fe 0.0290 0.5273 0.5018
Fe 0.4710 0.4727 0.4982
Fe 0.4691 0.9982 0.5273
Fe 0.9982 0.5018 0.9727
O 0.3507 0.1929 0.4982
O 0.1511 0.0018 0.1929
O 0.3422 0.4982 0.3071
O 0.1493 0.8071 0.5018
O 0.1578 0.5018 0.6929
O 0.3489 0.9982 0.8071
O 0.6560 0.3071 0.0018
O 0.8440 0.6929 0.9982
! DFT total energy in eV per cell: -146.04
! Space-group type: No. 88
! Corrected total energy (MP2020 scheme) in eV/atom: -7.220


No. 10
! Li2VF6 | Materials Project | PBE+U | relaxed; values from VASP
&SYSTEM
  ibrav = 0, nat = 18, ntyp = 3
/
ATOMIC_SPECIES
F 19.00 F.upf
Li 6.94 Li.upf
V 50.94 V.upf
CELL_PARAMETERS angstrom
8.7425 0.0000 0.0000
0.0000 5.2292 0.0000
0.0000 1.8743 4.8835
ATOMIC_POSITIONS crystal
F 0.6537 0.7097 0.8312
F 0.3437 0.3114 0.6552
F 0.4804 0.2833 0.1244
F 0.8545 0.2586 0.1679
F 0.1537 0.2903 0.1688
F 0.8437 0.6886 0.3448
F 0.1569 0.7416 0.2517
F 0.3545 0.7414 0.8321
F 0.5102 0.7073 0.3704
F 0.0102 0.2927 0.6296
F 0.9804 0.7167 0.8756
F 0.6569 0.2584 0.7483
Li 0.3394 0.5201 0.2402
Li 0.6691 0.9490 0.1211
Li 0.8394 0.4799 0.7598
Li 0.1691 0.0510 0.8789
V 0.4975 0.5073 0.7556
V 0.9975 0.4927 0.2444
! Magnetization in μB/f.u.: 1.00
! DFT total energy in eV per cell: -95.72
! Space-group type: No. 4
! Corrected total energy (MP2020 scheme) in eV/atom: -5.815
! Excess energy over the best structure of this formula in the dataset in meV/atom: 44


No. 11
! Ba2MgMnO4 | Materials Project | PBE+U | relaxed; values from VASP
&SYSTEM
  ibrav = 0, nat = 8, ntyp = 4
/
ATOMIC_SPECIES
O 16.00 O.upf
Ba 137.33 Ba.upf
Mg 24.30 Mg.upf
Mn 54.94 Mn.upf
CELL_PARAMETERS angstrom
-1.2410 1.2408 8.8148
2.7290 -2.7292 9.8428
1.2792 2.7673 -9.3288
ATOMIC_POSITIONS crystal
O 0.5000 0.0000 0.5000
O 0.2833 0.0072 0.0000
O 0.7167 0.9928 0.0000
O 0.0000 0.5000 0.5000
Ba 0.7083 0.5023 0.0000
Ba 0.2917 0.4977 0.0000
Mg 0.5000 0.0000 0.0000
Mn 0.0000 0.0000 0.0000
! Magnetization in μB/f.u.: 4.21
! DFT total energy in eV per cell: -49.29
! Space-group type: No. 12
! Corrected total energy (MP2020 scheme) in eV/atom: -6.713
! Excess energy over the best structure of this formula in the dataset in meV/atom: 242


No. 12
! NaLi2FePCO7 | Materials Project | PBE+U | relaxed; values from VASP
&SYSTEM
  ibrav = 0, nat = 52, ntyp = 6
/
ATOMIC_SPECIES
Li 6.94 Li.upf
O 16.00 O.upf
C 12.01 C.upf
Na 22.99 Na.upf
P 30.97 P.upf
Fe 55.84 Fe.upf
CELL_PARAMETERS angstrom
-1.8276 2.1894 6.0292
-2.4464 -7.9925 2.1357
9.3697 -1.5800 3.3963
ATOMIC_POSITIONS crystal
Li 0.9742 0.2761 0.3901
Li 0.2553 0.9132 0.8748
Li 0.0231 0.7239 0.1090
Li 0.5173 0.2673 0.8842
Li 0.7711 0.0958 0.1232
Li 0.7435 0.0941 0.6302
Li 0.4753 0.7248 0.6165
Li 0.9844 0.2677 0.8837
O 0.2349 0.5673 0.1978
O 0.7571 0.4253 0.8046
O 0.2537 0.4262 0.9084
O 0.2378 0.1490 0.7475
O 0.0714 0.6907 0.8950
O 0.7509 0.8537 0.7721
O 0.7825 0.0964 0.3275
O 0.9359 0.3021 0.0888
O 0.0576 0.6826 0.4005
O 0.5601 0.3022 0.6125
O 0.2810 0.9064 0.6635
O 0.7715 0.4242 0.2955
O 0.2167 0.8971 0.1465
O 0.4288 0.6727 0.4008
O 0.7742 0.5726 0.0843
O 0.5689 0.3170 0.0969
O 0.7472 0.1054 0.8355
O 0.7244 0.5710 0.5920
O 0.2284 0.4172 0.4092
O 0.2513 0.1416 0.2288
O 0.2505 0.1097 0.5279
O 0.2537 0.0953 0.0086
O 0.9260 0.3147 0.5943
O 0.4402 0.6890 0.8982
O 0.7528 0.9204 0.4887
O 0.2621 0.5727 0.6964
O 0.7501 0.9194 0.9893
O 0.7457 0.8439 0.2735
C 0.2400 0.0431 0.1275
C 0.7608 0.9546 0.3644
C 0.2571 0.0534 0.6459
C 0.7491 0.9605 0.8669
Na 0.5019 0.2549 0.3756
Na 0.2419 0.9160 0.3776
Na 0.9971 0.7472 0.6269
Na 0.5020 0.7435 0.1247
P 0.7424 0.4068 0.6498
P 0.2564 0.5912 0.8516
P 0.2376 0.5818 0.3530
P 0.7616 0.4079 0.1406
Fe 0.2503 0.3454 0.1074
Fe 0.2434 0.3498 0.6151
Fe 0.7463 0.6440 0.3899
Fe 0.7526 0.6511 0.8865
! Magnetization in μB/f.u.: 4.00
! DFT total energy in eV per cell: -343.41
! Space-group type: No. 1
! Corrected total energy (MP2020 scheme) in eV/atom: -7.147
! Excess energy over the best structure of this formula in the dataset in meV/atom: 15